Record 1
VASP calculation (PBE+U) on a relaxed structure of Ba2Co4BrO7.

Cell: 10.351 6.002 16.159 Å, 90.00 102.26 90.00°
Space group C2 (No. 5)
One atom of each set of equivalent atoms:
Ba 0.067 0.000 0.203 [4 per cell]
Ba 0.215 0.997 0.642 [4 per cell]
Co 0.000 0.001 0.000 [2 per cell]
Co 0.000 0.501 0.000 [2 per cell]
Co 0.105 0.500 0.805 [4 per cell]
Co 0.215 0.501 0.153 [4 per cell]
Co 0.250 0.251 0.000 [4 per cell]
Br 0.131 0.970 0.419 [4 per cell]
O 0.083 0.500 0.231 [4 per cell]
O 0.111 0.262 0.071 [4 per cell]
O 0.111 0.739 0.071 [4 per cell]
O 0.144 0.501 0.928 [4 per cell]
O 0.151 0.001 0.930 [4 per cell]
O 0.174 0.241 0.770 [4 per cell]
O 0.174 0.759 0.770 [4 per cell]

Calculated values
- energy of formation from the pure elements (meV per atom) = -1745.4
- total magnetization (μB per formula unit) = 7.00
- final energy (eV per atom) = -5.830



Record 2
VASP calculation (PBE+U) on a relaxed structure of Ba2FeBrO3.

Cell: 4.139 4.139 15.976 Å, 90.00 90.00 90.00°
Space group P4/nmm (No. 129, origin choice 2)
One atom of each set of equivalent atoms:
Ba 0.250 0.250 0.094 [2 per cell]
Ba 0.250 0.250 0.333 [2 per cell]
Fe 0.250 0.250 0.801 [2 per cell]
Br 0.250 0.250 0.579 [2 per cell]
O 0.250 0.250 0.921 [2 per cell]
O 0.250 0.750 0.220 [4 per cell]

Calculated values
- energy of formation from the pure elements (meV per atom) = -2391.2
- total magnetization (μB per formula unit) = 5.02
- final energy (eV per atom) = -5.887



Record 3
VASP calculation (PBE+U) on a relaxed structure of Ba3V2H12C10O28.

Cell: 10.499 15.470 18.290 Å, 90.00 98.59 90.00°
Space group C2/c (No. 15)
One atom of each set of equivalent atoms:
Ba 0.000 0.217 0.250 [4 per cell]
Ba 0.184 0.035 0.447 [8 per cell]
V 0.194 0.400 0.344 [8 per cell]
H 0.012 0.318 0.588 [8 per cell]
H 0.036 0.159 0.960 [8 per cell]
H 0.060 0.252 0.650 [8 per cell]
H 0.110 0.151 0.040 [8 per cell]
H 0.189 0.283 0.114 [8 per cell]
H 0.212 0.291 0.874 [8 per cell]
C 0.006 0.495 0.911 [8 per cell]
C 0.064 0.422 0.121 [8 per cell]
C 0.119 0.026 0.171 [8 per cell]
C 0.220 0.263 0.460 [8 per cell]
C 0.231 0.044 0.235 [8 per cell]
O 0.004 0.373 0.343 [8 per cell]
O 0.007 0.260 0.893 [8 per cell]
O 0.020 0.071 0.164 [8 per cell]
O 0.058 0.434 0.567 [8 per cell]
O 0.065 0.115 0.999 [8 per cell]
O 0.128 0.496 0.913 [8 per cell]
O 0.136 0.038 0.628 [8 per cell]
O 0.164 0.208 0.417 [8 per cell]
O 0.170 0.495 0.266 [8 per cell]
O 0.175 0.404 0.108 [8 per cell]
O 0.195 0.219 0.117 [8 per cell]
O 0.218 0.099 0.282 [8 per cell]
O 0.221 0.316 0.292 [8 per cell]
O 0.236 0.344 0.445 [8 per cell]

Calculated values
- energy of formation from the pure elements (meV per atom) = -1772.6
- total magnetization (μB per formula unit) = 0.01
- final energy (eV per atom) = -6.733



Record 4
VASP calculation (PBE+U) on a relaxed structure of Ba2WC4O8.

Cell: 6.153 8.842 9.817 Å, 64.65 85.00 84.56°
Space group P-1 (No. 2)
One atom of each set of equivalent atoms:
Ba 0.212 0.142 0.065 [2 per cell]
Ba 0.281 0.528 0.299 [2 per cell]
W 0.249 0.953 0.496 [2 per cell]
C 0.133 0.225 0.684 [2 per cell]
C 0.180 0.582 0.830 [2 per cell]
C 0.327 0.681 0.879 [2 per cell]
C 0.386 0.216 0.686 [2 per cell]
O 0.022 0.372 0.182 [2 per cell]
O 0.026 0.146 0.808 [2 per cell]
O 0.047 0.320 0.561 [2 per cell]
O 0.240 0.744 0.966 [2 per cell]
O 0.270 0.457 0.808 [2 per cell]
O 0.473 0.133 0.812 [2 per cell]
O 0.474 0.313 0.169 [2 per cell]
O 0.490 0.302 0.563 [2 per cell]

Calculated values
- energy of formation from the pure elements (meV per atom) = -1679.2
- total magnetization (μB per formula unit) = 5.00
- final energy (eV per atom) = -7.237



Copy entry 3 word for word.
VASP calculation (PBE+U) on a relaxed structure of Ba3V2H12C10O28.

Cell: 10.499 15.470 18.290 Å, 90.00 98.59 90.00°
Space group C2/c (No. 15)
One atom of each set of equivalent atoms:
Ba 0.000 0.217 0.250 [4 per cell]
Ba 0.184 0.035 0.447 [8 per cell]
V 0.194 0.400 0.344 [8 per cell]
H 0.012 0.318 0.588 [8 per cell]
H 0.036 0.159 0.960 [8 per cell]
H 0.060 0.252 0.650 [8 per cell]
H 0.110 0.151 0.040 [8 per cell]
H 0.189 0.283 0.114 [8 per cell]
H 0.212 0.291 0.874 [8 per cell]
C 0.006 0.495 0.911 [8 per cell]
C 0.064 0.422 0.121 [8 per cell]
C 0.119 0.026 0.171 [8 per cell]
C 0.220 0.263 0.460 [8 per cell]
C 0.231 0.044 0.235 [8 per cell]
O 0.004 0.373 0.343 [8 per cell]
O 0.007 0.260 0.893 [8 per cell]
O 0.020 0.071 0.164 [8 per cell]
O 0.058 0.434 0.567 [8 per cell]
O 0.065 0.115 0.999 [8 per cell]
O 0.128 0.496 0.913 [8 per cell]
O 0.136 0.038 0.628 [8 per cell]
O 0.164 0.208 0.417 [8 per cell]
O 0.170 0.495 0.266 [8 per cell]
O 0.175 0.404 0.108 [8 per cell]
O 0.195 0.219 0.117 [8 per cell]
O 0.218 0.099 0.282 [8 per cell]
O 0.221 0.316 0.292 [8 per cell]
O 0.236 0.344 0.445 [8 per cell]

Calculated values
- energy of formation from the pure elements (meV per atom) = -1772.6
- total magnetization (μB per formula unit) = 0.01
- final energy (eV per atom) = -6.733